(1)
AcGaO3 after structural relaxation. Source: the Materials Project database, functional GGA-PBE.

```
AcGaO3
1.0
3.9774 0.0000 0.0000
0.0000 3.9774 0.0000
0.0000 0.0000 3.9774
Ac Ga O
1 1 3
direct
0.0000 0.0000 0.0000
0.5000 0.5000 0.5000
0.0000 0.5000 0.5000
0.5000 0.0000 0.5000
0.5000 0.5000 0.0000
```

SG = Pm-3m (221)

---

(2)
Na2Ca2Ti6Si3S9O48 after structural relaxation. Source: the Materials Project database, functional GGA-PBE.

```
Na2Ca2Ti6Si3S9O48
1.0
8.7650 0.0000 0.0000
0.0014 15.2326 0.0000
0.0180 0.1098 22.8834
Na Ca Ti Si S O
6 6 18 9 27 144
direct
0.0000 0.0000 0.0000
0.0020 0.0048 0.5044
0.0062 0.6720 0.1643
0.4928 0.1709 0.6660
0.4963 0.5057 0.0024
0.4995 0.5052 0.5013
0.0060 0.6739 0.0210
0.4935 0.1703 0.5220
0.5010 0.5079 0.6470
0.5054 0.1696 0.8179
0.9948 0.6696 0.3181
0.9988 0.0083 0.1468
0.0008 0.6855 0.5241
0.0028 0.3302 0.4835
0.0030 0.3350 0.1898
0.0049 0.9952 0.6435
0.0057 0.6841 0.8126
0.0068 0.3322 0.6914
0.0082 0.3406 0.9769
0.4865 0.8274 0.9779
0.4919 0.8352 0.6928
0.4927 0.4954 0.1421
0.4930 0.8392 0.4787
0.4938 0.8353 0.1853
0.4986 0.1845 0.0231
0.5030 0.1762 0.3097
0.5098 0.4963 0.8552
0.5132 0.5020 0.3493
0.9850 0.9961 0.8536
0.9969 0.9937 0.3549
0.1384 0.1904 0.5884
0.1448 0.8196 0.9172
0.2204 0.8372 0.5851
0.2789 0.3360 0.0843
0.3586 0.6899 0.0866
0.6485 0.3613 0.2483
0.6528 0.3173 0.9181
0.8459 0.8169 0.4183
0.8502 0.8610 0.7488
0.1333 0.4804 0.5817
0.1472 0.1509 0.2542
0.1501 0.5234 0.9142
0.1521 0.8594 0.2499
0.2032 0.1699 0.9207
0.2166 0.5008 0.2479
0.2821 0.0017 0.7479
0.2966 0.6691 0.4207
0.3492 0.3595 0.7503
0.3503 0.0240 0.4141
0.3517 0.3206 0.4150
0.3516 0.6499 0.7534
0.3654 0.9805 0.0809
0.6359 0.6476 0.2470
0.6434 0.9761 0.5872
0.6448 0.6983 0.5816
0.6459 0.0217 0.9216
0.7035 0.0041 0.2540
0.7039 0.6694 0.9150
0.7226 0.3380 0.5851
0.7769 0.8377 0.0842
0.7968 0.1703 0.4147
0.7977 0.5046 0.7532
0.8510 0.5205 0.4211
0.8541 0.1987 0.0814
0.8550 0.4764 0.0871
0.8623 0.1467 0.7474
0.0501 0.0967 0.5942
0.0603 0.5664 0.5720
0.0605 0.7913 0.9743
0.0667 0.2420 0.5284
0.0723 0.4406 0.6357
0.0756 0.1073 0.3047
0.0771 0.2391 0.2464
0.0766 0.5653 0.8637
0.0803 0.4345 0.9223
0.0806 0.9194 0.8998
0.0840 0.8990 0.1988
0.0919 0.2587 0.6427
0.0927 0.7706 0.2569
0.1002 0.4219 0.5295
0.1027 0.0922 0.9151
0.1028 0.2482 0.9325
0.1067 0.9219 0.5923
0.1101 0.7543 0.8605
0.1127 0.7497 0.5729
0.1141 0.9149 0.3035
0.1185 0.5776 0.2521
0.1223 0.4200 0.2418
0.1392 0.1006 0.2009
0.1393 0.5726 0.9682
0.1710 0.3230 0.1422
0.1735 0.3526 0.0272
0.1769 0.3570 0.7445
0.1800 0.6821 0.0904
0.1814 0.0118 0.4029
0.1837 0.3291 0.4233
0.1841 0.6610 0.7640
0.1851 0.0128 0.6949
0.1898 0.9899 0.8012
0.1940 0.6538 0.4719
0.1993 0.9894 0.0847
0.2153 0.6878 0.3673
0.2850 0.1891 0.8674
0.3004 0.4880 0.5827
0.3058 0.1550 0.9720
0.3122 0.4901 0.3020
0.3145 0.5130 0.1957
0.3154 0.1637 0.2673
0.3180 0.1860 0.5883
0.3186 0.5105 0.9027
0.3221 0.8579 0.2450
0.3248 0.8526 0.5270
0.3279 0.8231 0.6422
0.3317 0.8293 0.9263
0.3595 0.0743 0.4679
0.3658 0.6010 0.6996
0.3782 0.9205 0.7409
0.3820 0.0779 0.7505
0.3817 0.2623 0.3643
0.3817 0.4144 0.8030
0.3864 0.2488 0.0729
0.3918 0.4212 0.0924
0.3961 0.5899 0.4145
0.3979 0.7466 0.4325
0.3980 0.9229 0.0301
0.4054 0.2700 0.7562
0.4053 0.7578 0.1422
0.4139 0.3979 0.6978
0.4155 0.4111 0.4031
0.4198 0.9358 0.4215
0.4214 0.0684 0.3639
0.4228 0.7389 0.7460
0.4236 0.6072 0.8041
0.4252 0.2890 0.4679
0.4261 0.9398 0.1366
0.4327 0.7398 0.0280
0.4395 0.0666 0.0738
0.4482 0.5959 0.0954
0.5645 0.2702 0.9756
0.5640 0.4088 0.1944
0.5645 0.7359 0.2422
0.5699 0.4173 0.9092
0.5711 0.2652 0.2665
0.5709 0.6060 0.3031
0.5768 0.6105 0.5832
0.5777 0.0640 0.5845
0.5782 0.7435 0.5304
0.5788 0.9311 0.6391
0.5800 0.0518 0.8674
0.5896 0.9322 0.9343
0.5964 0.5936 0.9025
0.5987 0.5914 0.1973
0.6035 0.0821 0.2684
0.6076 0.9264 0.2473
0.6094 0.7500 0.9217
0.6115 0.4243 0.3071
0.6161 0.9266 0.5327
0.6192 0.0813 0.9715
0.6203 0.7473 0.6362
0.6277 0.4173 0.5844
0.6317 0.2579 0.5829
0.6389 0.2651 0.8603
0.6689 0.8483 0.7359
0.6708 0.8361 0.4384
0.6764 0.5134 0.4126
0.6782 0.8348 0.1395
0.6823 0.8457 0.0314
0.6853 0.1890 0.0744
0.6849 0.4830 0.0932
0.6882 0.4890 0.8045
0.6928 0.1842 0.3639
0.6970 0.1576 0.7493
0.7097 0.5239 0.7013
0.7132 0.1504 0.4680
0.7829 0.6469 0.9684
0.7881 0.0266 0.2019
0.8010 0.6555 0.2513
0.8051 0.6824 0.8638
0.8091 0.9908 0.3053
0.8133 0.9835 0.5922
0.8139 0.6882 0.5735
0.8180 0.3334 0.6384
0.8181 0.3455 0.5303
0.8198 0.0161 0.9142
0.8277 0.3358 0.9387
0.8290 0.3470 0.2373
0.8603 0.7650 0.3602
0.8645 0.7565 0.0866
0.8727 0.9164 0.0870
0.8753 0.5793 0.4711
0.8794 0.2481 0.1368
0.8816 0.4265 0.0332
0.8833 0.9237 0.8068
0.8892 0.4239 0.7457
0.8913 0.2511 0.4223
0.8960 0.5798 0.7681
0.9006 0.0926 0.6963
0.9007 0.0942 0.4026
0.9105 0.4311 0.4334
0.9172 0.5510 0.3668
0.9187 0.4300 0.1395
0.9212 0.2439 0.0307
0.9209 0.5637 0.0858
0.9222 0.1113 0.0843
0.9252 0.7643 0.7635
0.9282 0.1103 0.8020
0.9294 0.9172 0.4087
0.9313 0.2378 0.7403
0.9331 0.9098 0.6939
0.9342 0.7703 0.4757
```

SG = P1 (1)

---

(3)
Hf2MoIr after structural relaxation. Source: the Materials Project database, functional GGA-PBE.

```
Hf2MoIr
1.0
0.0000 3.2833 3.2833
3.2833 0.0000 3.2833
3.2833 3.2833 0.0000
Hf Mo Ir
2 1 1
direct
0.2500 0.2500 0.2500
0.7500 0.7500 0.7500
0.0000 0.0000 0.0000
0.5000 0.5000 0.5000
```

SG = Fm-3m (225)

---

no.,ΔE_f (eV per atom)
1,-3.063
2,-2.576
3,-0.619